No. 1
First-principles (GGA+U) data for a geometry-optimized Ba5V3HO13 structure, as listed in the Materials Project.

Results
total energy after the MP2020 corrections = -338.27 eV per cell
space-group type = P6_3, No. 173
E_form = -2.935 eV/atom

Cell lengths 10.680, 10.680, 7.967 Å; angles 90.00, 90.00, 120.00 degrees
Sites, in units of the cell vectors:
Ba 0.011 0.753 0.000
Ba 0.247 0.258 0.000
Ba 0.258 0.011 0.500
Ba 0.333 0.667 0.250
Ba 0.333 0.667 0.748
Ba 0.667 0.333 0.248
Ba 0.667 0.333 0.750
Ba 0.742 0.989 0.000
Ba 0.753 0.742 0.500
Ba 0.989 0.247 0.500
V 0.033 0.633 0.499
V 0.367 0.401 0.499
V 0.401 0.033 0.999
V 0.599 0.967 0.499
V 0.633 0.599 0.999
V 0.967 0.367 0.999
H 0.000 0.000 0.177
H 0.000 0.000 0.677
O 0.000 0.000 0.055
O 0.000 0.000 0.555
O 0.092 0.745 0.674
O 0.092 0.746 0.324
O 0.126 0.536 0.499
O 0.155 0.482 0.999
O 0.254 0.346 0.324
O 0.255 0.347 0.674
O 0.327 0.845 0.999
O 0.346 0.092 0.824
O 0.347 0.092 0.174
O 0.410 0.874 0.499
O 0.464 0.590 0.499
O 0.482 0.327 0.499
O 0.518 0.673 0.999
O 0.536 0.410 0.999
O 0.590 0.126 0.999
O 0.653 0.908 0.674
O 0.654 0.908 0.324
O 0.673 0.155 0.499
O 0.745 0.653 0.174
O 0.746 0.654 0.824
O 0.845 0.518 0.499
O 0.874 0.464 0.999
O 0.908 0.254 0.824
O 0.908 0.255 0.174


No. 2
First-principles (GGA+U) data for a geometry-optimized Mg30TiCrO32 structure, as listed in the Materials Project.

Results
total energy after the MP2020 corrections = -414.28 eV per cell
space-group type = P4/mmm, No. 123
E_form = -2.975 eV/atom

Cell lengths 8.533, 8.533, 8.579 Å; angles 90.00, 90.00, 90.00 degrees
Sites, in units of the cell vectors:
Mg 0.000 0.000 0.000
Mg 0.000 0.000 0.500
Mg 0.000 0.250 0.250
Mg 0.000 0.250 0.750
Mg 0.000 0.500 0.000
Mg 0.000 0.500 0.500
Mg 0.000 0.750 0.250
Mg 0.000 0.750 0.750
Mg 0.249 0.249 0.000
Mg 0.249 0.500 0.251
Mg 0.249 0.500 0.749
Mg 0.249 0.751 0.000
Mg 0.250 0.000 0.250
Mg 0.250 0.000 0.750
Mg 0.250 0.250 0.500
Mg 0.250 0.750 0.500
Mg 0.500 0.000 0.000
Mg 0.500 0.000 0.500
Mg 0.500 0.249 0.251
Mg 0.500 0.249 0.749
Mg 0.500 0.751 0.251
Mg 0.500 0.751 0.749
Mg 0.750 0.000 0.250
Mg 0.750 0.000 0.750
Mg 0.750 0.250 0.500
Mg 0.750 0.750 0.500
Mg 0.751 0.249 0.000
Mg 0.751 0.500 0.251
Mg 0.751 0.500 0.749
Mg 0.751 0.751 0.000
Ti 0.500 0.500 0.500
Cr 0.500 0.500 0.000
O 0.000 0.000 0.250
O 0.000 0.000 0.750
O 0.000 0.249 0.500
O 0.000 0.250 0.000
O 0.000 0.500 0.249
O 0.000 0.500 0.751
O 0.000 0.750 0.000
O 0.000 0.751 0.500
O 0.243 0.500 0.500
O 0.248 0.500 0.000
O 0.249 0.000 0.500
O 0.250 0.000 0.000
O 0.250 0.250 0.250
O 0.250 0.250 0.750
O 0.250 0.750 0.250
O 0.250 0.750 0.750
O 0.500 0.000 0.249
O 0.500 0.000 0.751
O 0.500 0.243 0.500
O 0.500 0.248 0.000
O 0.500 0.500 0.260
O 0.500 0.500 0.740
O 0.500 0.752 0.000
O 0.500 0.757 0.500
O 0.750 0.000 0.000
O 0.750 0.250 0.250
O 0.750 0.250 0.750
O 0.750 0.750 0.250
O 0.750 0.750 0.750
O 0.751 0.000 0.500
O 0.752 0.500 0.000
O 0.757 0.500 0.500


No. 3
First-principles (GGA+U) data for a geometry-optimized Ba2AlTlV2O7 structure, as listed in the Materials Project.

Results
total energy after the MP2020 corrections = -94.29 eV per cell
offset from the most stable computed form = 0.00 eV per formula unit
space-group type = P1, No. 1
E_form = -2.426 eV/atom

Cell lengths 3.489, 3.899, 16.390 Å; angles 85.41, 89.92, 89.98 degrees
Sites, in units of the cell vectors:
Ba 0.000 0.000 0.000
Ba 0.004 0.957 0.417
Al 0.002 0.954 0.709
Tl 0.502 0.551 0.215
V 0.501 0.540 0.855
V 0.503 0.492 0.594
O 0.002 0.487 0.312
O 0.002 0.619 0.787
O 0.003 0.720 0.613
O 0.500 0.521 0.976
O 0.502 0.060 0.865
O 0.502 0.125 0.687
O 0.504 0.412 0.485